VASP calculation (meta-GGA r2SCAN) on a relaxed structure of V3B2.

abc: 3.010 5.708 5.708
angles: 90.00 90.00 90.00
Fractional positions:
V: 0.000 0.000 0.000
V: 0.000 0.500 0.500
V: 0.500 0.822 0.322
V: 0.500 0.678 0.822
V: 0.500 0.322 0.178
V: 0.500 0.178 0.678
B: 0.000 0.611 0.111
B: 0.000 0.889 0.611
B: 0.000 0.111 0.389
B: 0.000 0.389 0.889

Output
E_tot ... -121.69 eV for the cell shown

=====

VASP calculation (meta-GGA r2SCAN) on a relaxed structure of V3B4.

abc: 2.971 3.029 6.916
angles: 102.65 102.40 90.00
Fractional positions:
V: 0.500 0.000 0.000
V: 0.188 0.188 0.375
V: 0.812 0.812 0.625
B: 0.637 0.636 0.273
B: 0.363 0.364 0.727
B: 0.066 0.566 0.131
B: 0.934 0.434 0.869

Output
E_tot ... -77.67 eV for the cell shown

=====

VASP calculation (meta-GGA r2SCAN) on a relaxed structure of BW.

abc: 3.095 3.162 4.526
angles: 110.44 90.00 90.00
Fractional positions:
B: 0.250 0.439 0.878
B: 0.750 0.561 0.122
W: 0.250 0.145 0.289
W: 0.750 0.855 0.711

Output
E_tot ... -118.81 eV for the cell shown

=====

VASP calculation (meta-GGA r2SCAN) on a relaxed structure of BW.

abc: 3.131 3.131 8.745
angles: 100.31 100.31 90.01
Fractional positions:
B: 0.781 0.031 0.062
B: 0.531 0.281 0.562
B: 0.219 0.969 0.938
B: 0.469 0.719 0.438
W: 0.928 0.178 0.356
W: 0.678 0.428 0.856
W: 0.072 0.822 0.644
W: 0.322 0.572 0.144

Output
E_tot ... -237.73 eV for the cell shown

=====

VASP calculation (meta-GGA r2SCAN) on a relaxed structure of B2W.

abc: 3.015 3.015 13.957
angles: 90.00 90.00 120.00
Fractional positions:
B: 0.333 0.667 0.523
B: 0.667 0.333 0.477
B: 0.000 0.000 0.250
B: 0.333 0.667 0.977
B: 0.667 0.333 0.250
B: 0.667 0.333 0.023
B: 0.333 0.667 0.750
B: 0.000 0.000 0.750
W: 0.333 0.667 0.136
W: 0.667 0.333 0.636
W: 0.333 0.667 0.364
W: 0.667 0.333 0.864

Output
E_tot ... -268.09 eV for the cell shown

=====

VASP calculation (meta-GGA r2SCAN) on a relaxed structure of YB6.

abc: 4.090 4.090 4.090
angles: 90.00 90.00 90.00
Fractional positions:
Y: 0.000 0.000 0.000
B: 0.801 0.500 0.500
B: 0.199 0.500 0.500
B: 0.500 0.500 0.801
B: 0.500 0.500 0.199
B: 0.500 0.199 0.500
B: 0.500 0.801 0.500

Output
E_tot ... -67.63 eV for the cell shown